# PBE-GGA NdCoGe3, optimized geometry
data_NdCoGe3
_cell_length_a 4.326
_cell_length_b 4.326
_cell_length_c 9.917
_cell_angle_alpha 90.00
_cell_angle_beta 90.00
_cell_angle_gamma 90.00
_space_group_name_H-M_alt 'I 4 m m'
_space_group_IT_number 107
_space_group_name_Hall 'I 4 -2'
loop_
_atom_site_label
_atom_site_fract_x
_atom_site_fract_y
_atom_site_fract_z
_atom_site_occupancy
Nd1 0.000 0.000 0.000 1
Co1 0.000 0.000 0.333 1
Ge1 0.000 0.000 0.564 1
Ge2 0.000 0.500 0.241 1
# energy of formation from the pure elements: -2.84 eV per formula unit
# final energy: -5.716 eV per atom

# PBE-GGA Nd6Co5Ge2, optimized geometry
data_Nd6Co5Ge2
_cell_length_a 4.156
_cell_length_b 9.263
_cell_length_c 15.266
_cell_angle_alpha 90.00
_cell_angle_beta 90.00
_cell_angle_gamma 90.00
_space_group_name_H-M_alt 'A m m 2'
_space_group_IT_number 38
loop_
_space_group_symop_operation_xyz
'x,y,z'
'-x,-y,z'
'-x,y,z'
'x,-y,z'
'x,y+1/2,z+1/2'
'-x,-y+1/2,z+1/2'
'-x,y+1/2,z+1/2'
'x,-y+1/2,z+1/2'
loop_
_atom_site_label
_atom_site_fract_x
_atom_site_fract_y
_atom_site_fract_z
_atom_site_occupancy
Nd1 0.000 0.000 0.000 1
Nd2 0.000 0.198 0.800 1
Nd3 0.500 0.000 0.363 1
Nd4 0.500 0.235 0.117 1
Co1 0.500 0.000 0.541 1
Co2 0.500 0.000 0.718 1
Co3 0.500 0.000 0.868 1
Co4 0.500 0.221 0.938 1
Ge1 0.000 0.000 0.205 1
Ge2 0.000 0.000 0.621 1
# energy of formation from the pure elements: -1.10 eV per formula unit
# final energy: -5.730 eV per atom

# PBE-GGA Nd4Co3Ge8, optimized geometry
data_Nd4Co3Ge8
_cell_length_a 4.199
_cell_length_b 4.256
_cell_length_c 16.610
_cell_angle_alpha 90.00
_cell_angle_beta 90.00
_cell_angle_gamma 90.00
_space_group_name_H-M_alt 'P m m 2'
_space_group_IT_number 25
loop_
_space_group_symop_operation_xyz
'x,y,z'
'-x,-y,z'
'-x,y,z'
'x,-y,z'
loop_
_atom_site_label
_atom_site_fract_x
_atom_site_fract_y
_atom_site_fract_z
_atom_site_occupancy
Nd1 0.000 0.000 0.000 1
Nd2 0.000 0.500 0.498 1
Nd3 0.500 0.000 0.212 1
Nd4 0.500 0.500 0.714 1
Co1 0.000 0.000 0.791 1
Co2 0.000 0.500 0.294 1
Co3 0.500 0.500 0.925 1
Ge1 0.000 0.000 0.360 1
Ge2 0.000 0.000 0.652 1
Ge3 0.000 0.500 0.154 1
Ge4 0.000 0.500 0.857 1
Ge5 0.500 0.000 0.558 1
Ge6 0.500 0.000 0.857 1
Ge7 0.500 0.500 0.062 1
Ge8 0.500 0.500 0.359 1
# energy of formation from the pure elements: -9.81 eV per formula unit
# final energy: -5.813 eV per atom

# PBE-GGA NdCoGe2, optimized geometry
data_NdCoGe2
_cell_length_a 4.261
_cell_length_b 16.642
_cell_length_c 4.235
_cell_angle_alpha 90.00
_cell_angle_beta 90.00
_cell_angle_gamma 90.00
_space_group_name_H-M_alt 'C m c m'
_space_group_IT_number 63
_space_group_name_Hall '-C 2c 2'
loop_
_atom_site_label
_atom_site_fract_x
_atom_site_fract_y
_atom_site_fract_z
_atom_site_occupancy
Nd1 0.000 0.107 0.250 1
Co1 0.000 0.317 0.250 1
Ge1 0.000 0.250 0.750 1
Ge2 0.000 0.454 0.250 1
# energy of formation from the pure elements: -2.64 eV per formula unit
# final energy: -5.940 eV per atom

# PBE-GGA CoNiGe, optimized geometry
data_CoNiGe
_cell_length_a 4.0103
_cell_length_b 4.0103
_cell_length_c 5.0325
_cell_angle_alpha 90.00
_cell_angle_beta 90.00
_cell_angle_gamma 120.00
_space_group_name_H-M_alt 'P 63/m m c'
_space_group_IT_number 194
_space_group_name_Hall '-P 6c 2c'
loop_
_atom_site_label
_atom_site_fract_x
_atom_site_fract_y
_atom_site_fract_z
_atom_site_occupancy
Co1 0.3333 0.6667 0.2500 1
Ni1 0.0000 0.0000 0.0000 1
Ge1 0.3333 0.6667 0.7500 1
# energy of formation from the pure elements: -0.59 eV per formula unit
# final energy: -6.032 eV per atom

# PBE-GGA CoNiGe, optimized geometry
data_CoNiGe
_cell_length_a 3.9941
_cell_length_b 3.9941
_cell_length_c 5.0823
_cell_angle_alpha 90.00
_cell_angle_beta 90.00
_cell_angle_gamma 120.00
_space_group_name_H-M_alt 'P 63/m m c'
_space_group_IT_number 194
_space_group_name_Hall '-P 6c 2c'
loop_
_atom_site_label
_atom_site_fract_x
_atom_site_fract_y
_atom_site_fract_z
_atom_site_occupancy
Co1 0.0000 0.0000 0.0000 1
Ni1 0.3333 0.6667 0.2500 1
Ge1 0.3333 0.6667 0.7500 1
# energy of formation from the pure elements: -0.55 eV per formula unit
# final energy: -6.021 eV per atom

Copy entry 1 word for word.
# PBE-GGA NdCoGe3, optimized geometry
data_NdCoGe3
_cell_length_a 4.326
_cell_length_b 4.326
_cell_length_c 9.917
_cell_angle_alpha 90.00
_cell_angle_beta 90.00
_cell_angle_gamma 90.00
_space_group_name_H-M_alt 'I 4 m m'
_space_group_IT_number 107
_space_group_name_Hall 'I 4 -2'
loop_
_atom_site_label
_atom_site_fract_x
_atom_site_fract_y
_atom_site_fract_z
_atom_site_occupancy
Nd1 0.000 0.000 0.000 1
Co1 0.000 0.000 0.333 1
Ge1 0.000 0.000 0.564 1
Ge2 0.000 0.500 0.241 1
# energy of formation from the pure elements: -2.84 eV per formula unit
# final energy: -5.716 eV per atom